Material: Zr4Pt2N
Method: DFT, PBE-GGA
State: relaxed

Cell lengths 8.8987, 8.8987, 8.8987 Å; angles 60.00, 60.00, 60.00 degrees
Fractional coordinates of all 28 atoms:
1 N 0.1250 0.1250 0.6250
2 N 0.1250 0.6250 0.1250
3 N 0.1250 0.1250 0.1250
4 N 0.6250 0.1250 0.1250
5 Pt 0.8436 0.8436 0.4693
6 Pt 0.8436 0.8436 0.8436
7 Pt 0.4064 0.4064 0.7807
8 Pt 0.8436 0.4693 0.8436
9 Pt 0.4064 0.7807 0.4064
10 Pt 0.4064 0.4064 0.4064
11 Pt 0.7807 0.4064 0.4064
12 Pt 0.4693 0.8436 0.8436
13 Zr 0.6250 0.6250 0.6250
14 Zr 0.0677 0.0677 0.4323
15 Zr 0.1823 0.1823 0.8177
16 Zr 0.1250 0.6250 0.6250
17 Zr 0.8177 0.1823 0.1823
18 Zr 0.1823 0.8177 0.1823
19 Zr 0.6250 0.6250 0.1250
20 Zr 0.4323 0.0677 0.0677
21 Zr 0.4323 0.0677 0.4323
22 Zr 0.0677 0.4323 0.0677
23 Zr 0.8177 0.8177 0.1823
24 Zr 0.8177 0.1823 0.8177
25 Zr 0.6250 0.1250 0.6250
26 Zr 0.0677 0.4323 0.4323
27 Zr 0.1823 0.8177 0.8177
28 Zr 0.4323 0.4323 0.0677

ΔE_f: -28.07 kcal/mol of atoms
SG: No. 227
energy: -8.9758 eV per atom